Below is a relaxed structure of MgAg4As4S4, with properties calculated at the GGA-PBE level.

Formation energy from the elements: -0.225 eV per atom
MP2020-corrected energy: -3.926 eV/atom
Density: 4.8 g/cm3
Space group: P1, No. 1

Cell: 4.4489 5.5113 12.4030 Å, 91.59 90.00 90.02°
Positions (direct):
Mg (0.0000, 0.0000, 0.0000)
Ag (0.0011, 0.1536, 0.5744)
Ag (0.0014, 0.5156, 0.0994)
Ag (0.5012, 0.1485, 0.8461)
Ag (0.5010, 0.6303, 0.4051)
As (0.0001, 0.1856, 0.2390)
As (0.9998, 0.5232, 0.7131)
As (0.5000, 0.7382, 0.7415)
As (0.5000, 0.9753, 0.2610)
S (0.0010, 0.3870, 0.8956)
S (0.0007, 0.3957, 0.3981)
S (0.4999, 0.8341, 0.0818)
S (0.5009, 0.9074, 0.5766)